Density functional theory data (PBE-GGA) for a relaxed structure of ReH6CN3O4. Values from VASP.

Quantum ESPRESSO input file:
```
&SYSTEM
  ibrav = 0, nat = 30, ntyp = 5
/
ATOMIC_SPECIES
N 14.01 N.upf
H 1.01 H.upf
Re 186.21 Re.upf
O 16.00 O.upf
C 12.01 C.upf
ATOMIC_POSITIONS angstrom
N 4.015 -4.276 -2.581
N 7.199 0.598 0.069
N 5.846 0.027 1.877
N 1.926 -5.209 -2.951
N 2.662 -4.847 -0.774
N 7.935 0.961 2.246
H 5.171 -0.421 1.263
H 6.440 0.403 -0.579
H 4.690 -3.828 -1.967
H 7.783 0.870 3.249
H 4.099 -4.117 -3.581
H 8.011 1.105 -0.279
H 2.077 -5.119 -3.954
H 1.269 -2.569 0.571
H 3.421 -4.651 -0.125
H 1.849 -5.354 -0.426
H 5.761 -0.131 2.876
H 8.592 -1.680 -1.275
Re 6.138 -1.102 -3.476
Re 3.723 -3.147 2.772
O 7.749 -2.598 0.826
O 5.422 -4.160 0.111
O 3.354 -2.017 1.485
O 1.884 0.523 0.348
O 2.111 -1.651 -1.530
O 4.439 -0.089 -0.815
O 7.976 -4.771 -1.052
O 6.507 -2.232 -2.189
C 6.991 0.529 1.391
C 2.870 -4.778 -2.095
CELL_PARAMETERS angstrom
1.018 -3.096 3.864
1.277 -5.019 -5.918
7.566 3.866 1.349
```

Mass density = 3.16 g/cm³
Total moment = 0.0 μB/f.u.
Energy of formation from the pure elements = -14.6 eV/f.u.
Crystal system = triclinic